Here is a relaxed structure of MgH8SO8 from the Materials Project database. Energies are from meta-GGA r2SCAN.

The structure in CIF format:
```
data_MgH8SO8
_cell_length_a 5.8475
_cell_length_b 13.4315
_cell_length_c 9.7431
_cell_angle_alpha 90.00
_cell_angle_beta 126.61
_cell_angle_gamma 90.00
_symmetry_space_group_name_H-M 'P 1 21/c 1'
_symmetry_Int_Tables_number 14
loop_
_symmetry_equiv_pos_as_xyz
'x,y,z'
'-x,-y,-z'
'-x,y+1/2,-z+1/2'
'x,-y+1/2,z+1/2'
loop_
_atom_site_label
_atom_site_fract_x
_atom_site_fract_y
_atom_site_fract_z
Mg1 0.1512 0.1041 0.2227
H1 0.0460 0.7359 0.7219
H2 0.1082 0.0865 0.4814
H3 0.1335 0.5200 0.1716
H4 0.1400 0.1907 0.7242
H5 0.3369 0.6852 0.0400
H6 0.3607 0.5968 0.9418
H7 0.3745 0.0933 0.0442
H8 0.4684 0.1915 0.1539
S1 0.3730 0.6079 0.6760
O1 0.0050 0.5762 0.1420
O2 0.0364 0.2498 0.2176
O3 0.2459 0.5472 0.7417
O4 0.2568 0.5760 0.5011
O5 0.3132 0.0919 0.7132
O6 0.3142 0.7135 0.6816
O7 0.3158 0.1424 0.0904
O8 0.4455 0.6261 0.0545
```

Output
E_tot   -453.30 eV for the cell shown
Formation enthalpy at 0 K   -1.43 eV/atom



Here is a relaxed structure of Ba2Cd from the Materials Project database. Energies are from meta-GGA r2SCAN.

The structure in CIF format:
```
data_Ba2Cd
_cell_length_a 4.2882
_cell_length_b 4.2882
_cell_length_c 15.4628
_cell_angle_alpha 90.00
_cell_angle_beta 90.00
_cell_angle_gamma 90.00
_symmetry_space_group_name_H-M 'I 4/m m m'
_symmetry_Int_Tables_number 139
_symmetry_space_group_name_Hall '-I 4 2'
loop_
_atom_site_label
_atom_site_fract_x
_atom_site_fract_y
_atom_site_fract_z
Ba1 0.0000 0.0000 0.1305
Cd1 0.0000 0.0000 0.5000
```

Output
E_tot   -147.46 eV for the cell shown
Formation enthalpy at 0 K   -0.21 eV/atom



Here is a relaxed structure of NdAl8Cu4 from the Materials Project database. Energies are from meta-GGA r2SCAN.

The structure in CIF format:
```
data_NdAl8Cu4
_cell_length_a 10.1551
_cell_length_b 8.7752
_cell_length_c 5.1244
_cell_angle_alpha 90.00
_cell_angle_beta 120.12
_cell_angle_gamma 90.00
_symmetry_space_group_name_H-M 'C 1 2/m 1'
_symmetry_Int_Tables_number 12
loop_
_symmetry_equiv_pos_as_xyz
'x,y,z'
'-x,-y,-z'
'-x,y,-z'
'x,-y,z'
'x+1/2,y+1/2,z'
'-x+1/2,-y+1/2,-z'
'-x+1/2,y+1/2,-z'
'x+1/2,-y+1/2,z'
loop_
_atom_site_label
_atom_site_fract_x
_atom_site_fract_y
_atom_site_fract_z
Nd1 0.0000 0.0000 0.0000
Al1 0.0000 0.2212 0.5000
Al2 0.0000 0.3493 0.0000
Al3 0.1507 0.5000 0.6511
Al4 0.2213 0.0000 0.7217
Cu1 0.2500 0.2500 0.0000
Cu2 0.2500 0.2500 0.5000
```

Output
E_tot   -262.29 eV for the cell shown
Formation enthalpy at 0 K   -0.35 eV/atom



Here is a relaxed structure of TbTaO4 from the Materials Project database. Energies are from meta-GGA r2SCAN.

The structure in CIF format:
```
data_TbTaO4
_cell_length_a 7.5201
_cell_length_b 5.3271
_cell_length_c 7.5610
_cell_angle_alpha 90.00
_cell_angle_beta 98.34
_cell_angle_gamma 90.00
_symmetry_space_group_name_H-M 'P 1 21/c 1'
_symmetry_Int_Tables_number 14
loop_
_symmetry_equiv_pos_as_xyz
'x,y,z'
'-x,-y,-z'
'-x,y+1/2,-z+1/2'
'x,-y+1/2,z+1/2'
loop_
_atom_site_label
_atom_site_fract_x
_atom_site_fract_y
_atom_site_fract_z
Tb1 0.1453 0.2220 0.3914
Ta1 0.3358 0.7291 0.1868
O1 0.1116 0.5107 0.1700
O2 0.1718 0.5015 0.6204
O3 0.3316 0.6287 0.9369
O4 0.4339 0.0980 0.8094
```

Output
E_tot   -500.35 eV for the cell shown
Formation enthalpy at 0 K   -3.56 eV/atom



Here is a relaxed structure of Cs3TlF6 from the Materials Project database. Energies are from meta-GGA r2SCAN.

The structure in CIF format:
```
data_Cs3TlF6
_cell_length_a 9.8638
_cell_length_b 9.8638
_cell_length_c 9.8638
_cell_angle_alpha 90.00
_cell_angle_beta 90.00
_cell_angle_gamma 90.00
_symmetry_space_group_name_H-M 'F m -3 m'
_symmetry_Int_Tables_number 225
_symmetry_space_group_name_Hall '-F 4 2 3'
loop_
_atom_site_label
_atom_site_fract_x
_atom_site_fract_y
_atom_site_fract_z
Cs1 0.0000 0.0000 0.0000
Cs2 0.2500 0.2500 0.2500
Tl1 0.0000 0.0000 0.5000
F1 0.0000 0.0000 0.2803
```

Output
E_tot   -692.86 eV for the cell shown
Formation enthalpy at 0 K   -2.60 eV/atom



Here is a relaxed structure of TlVCl3 from the Materials Project database. Energies are from meta-GGA r2SCAN.

The structure in CIF format:
```
data_TlVCl3
_cell_length_a 6.9221
_cell_length_b 6.9221
_cell_length_c 6.1546
_cell_angle_alpha 90.00
_cell_angle_beta 90.00
_cell_angle_gamma 120.00
_symmetry_space_group_name_H-M 'P 63/m m c'
_symmetry_Int_Tables_number 194
_symmetry_space_group_name_Hall '-P 6c 2c'
loop_
_atom_site_label
_atom_site_fract_x
_atom_site_fract_y
_atom_site_fract_z
Tl1 0.3333 0.6667 0.2500
V1 0.0000 0.0000 0.0000
Cl1 0.1627 0.3253 0.7500
```

Output
E_tot   -185.65 eV for the cell shown
Formation enthalpy at 0 K   -1.42 eV/atom



Here is a relaxed structure of Te6RhBr3 from the Materials Project database. Energies are from meta-GGA r2SCAN.

The structure in CIF format:
```
data_Te6RhBr3
_cell_length_a 15.0862
_cell_length_b 15.0862
_cell_length_c 9.8695
_cell_angle_alpha 90.00
_cell_angle_beta 90.00
_cell_angle_gamma 120.00
_symmetry_space_group_name_H-M 'R -3 c'
_symmetry_Int_Tables_number 167
_symmetry_space_group_name_Hall '-R 3 2"c'
loop_
_atom_site_label
_atom_site_fract_x
_atom_site_fract_y
_atom_site_fract_z
Te1 0.0737 0.1684 0.0942
Rh1 0.0000 0.0000 0.2500
Br1 0.0000 0.2650 0.7500
```

Output
E_tot   -1320.30 eV for the cell shown
Formation enthalpy at 0 K   -0.36 eV/atom



Here is a relaxed structure of Sc6InCo2 from the Materials Project database. Energies are from meta-GGA r2SCAN.

The structure in CIF format:
```
data_Sc6InCo2
_cell_length_a 8.8864
_cell_length_b 8.8874
_cell_length_c 9.3023
_cell_angle_alpha 90.00
_cell_angle_beta 90.00
_cell_angle_gamma 90.00
_symmetry_space_group_name_H-M 'I m m m'
_symmetry_Int_Tables_number 71
_symmetry_space_group_name_Hall '-I 2 2'
loop_
_atom_site_label
_atom_site_fract_x
_atom_site_fract_y
_atom_site_fract_z
Sc1 0.0000 0.2026 0.1875
Sc2 0.1909 0.2136 0.5000
Sc3 0.2177 0.5000 0.2656
In1 0.0000 0.5000 0.0000
In2 0.0000 0.5000 0.5000
Co1 0.0000 0.0000 0.3835
Co2 0.1256 0.0000 0.0000
```

Output
E_tot   -479.91 eV for the cell shown
Formation enthalpy at 0 K   -0.28 eV/atom



Here is a relaxed structure of Tb2ZrS5 from the Materials Project database. Energies are from meta-GGA r2SCAN.

The structure in CIF format:
```
data_Tb2ZrS5
_cell_length_a 11.5773
_cell_length_b 7.7727
_cell_length_c 7.2687
_cell_angle_alpha 90.00
_cell_angle_beta 90.00
_cell_angle_gamma 90.00
_symmetry_space_group_name_H-M 'P n m a'
_symmetry_Int_Tables_number 62
loop_
_symmetry_equiv_pos_as_xyz
'x,y,z'
'-x,-y,-z'
'-x+1/2,-y,z+1/2'
'x+1/2,y,-z+1/2'
'x+1/2,-y+1/2,-z+1/2'
'-x+1/2,y+1/2,z+1/2'
'-x,y+1/2,-z'
'x,-y+1/2,z'
loop_
_atom_site_label
_atom_site_fract_x
_atom_site_fract_y
_atom_site_fract_z
Tb1 0.1787 0.0023 0.0228
Zr1 0.0064 0.7500 0.5774
S1 0.0029 0.7500 0.9490
S2 0.0937 0.0367 0.6612
S3 0.1823 0.7500 0.3328
S4 0.2082 0.2500 0.3105
```

Output
E_tot   -571.27 eV for the cell shown
Formation enthalpy at 0 K   -2.18 eV/atom



Here is a relaxed structure of CaB2O4 from the Materials Project database. Energies are from meta-GGA r2SCAN.

The structure in CIF format:
```
data_CaB2O4
_cell_length_a 11.6260
_cell_length_b 4.2892
_cell_length_c 6.1783
_cell_angle_alpha 90.00
_cell_angle_beta 90.00
_cell_angle_gamma 90.00
_symmetry_space_group_name_H-M 'P b c n'
_symmetry_Int_Tables_number 60
loop_
_symmetry_equiv_pos_as_xyz
'x,y,z'
'-x,-y,-z'
'-x+1/2,-y+1/2,z+1/2'
'x+1/2,y+1/2,-z+1/2'
'x+1/2,-y+1/2,-z'
'-x+1/2,y+1/2,z'
'-x,y,-z+1/2'
'x,-y,z+1/2'
loop_
_atom_site_label
_atom_site_fract_x
_atom_site_fract_y
_atom_site_fract_z
Ca1 0.0000 0.2281 0.2500
B1 0.1924 0.3287 0.6267
O1 0.0864 0.2284 0.5914
O2 0.2082 0.3483 0.1496
```

Output
Energy above the lowest structure with this stoichiometry   0.0212 eV per atom
E_tot   -264.29 eV for the cell shown
Formation enthalpy at 0 K   -2.92 eV/atom



Here is a relaxed structure of ThMn2Ge2 from the Materials Project database. Energies are from meta-GGA r2SCAN.

The structure in CIF format:
```
data_ThMn2Ge2
_cell_length_a 4.1562
_cell_length_b 4.1562
_cell_length_c 10.9803
_cell_angle_alpha 90.00
_cell_angle_beta 90.00
_cell_angle_gamma 90.00
_symmetry_space_group_name_H-M 'I 4/m m m'
_symmetry_Int_Tables_number 139
_symmetry_space_group_name_Hall '-I 4 2'
loop_
_atom_site_label
_atom_site_fract_x
_atom_site_fract_y
_atom_site_fract_z
Th1 0.0000 0.0000 0.0000
Mn1 0.0000 0.5000 0.2500
Ge1 0.0000 0.0000 0.3834
```

Output
E_tot   -267.25 eV for the cell shown
Formation enthalpy at 0 K   -0.61 eV/atom



Here is a relaxed structure of HoBrO from the Materials Project database. Energies are from meta-GGA r2SCAN.

The structure in CIF format:
```
data_HoBrO
_cell_length_a 3.8067
_cell_length_b 3.8067
_cell_length_c 8.7617
_cell_angle_alpha 90.00
_cell_angle_beta 90.00
_cell_angle_gamma 90.00
_symmetry_space_group_name_H-M 'P 4/n m m'
_symmetry_Int_Tables_number 129
loop_
_symmetry_equiv_pos_as_xyz
'x,y,z'
'-x,-y,-z'
'-y+1/2,x,z'
'y+1/2,-x,-z'
'-x+1/2,-y+1/2,z'
'x+1/2,y+1/2,-z'
'y,-x+1/2,z'
'-y,x+1/2,-z'
'x+1/2,-y,-z'
'-x+1/2,y,z'
'-y,-x,-z'
'y,x,z'
'-x,y+1/2,-z'
'x,-y+1/2,z'
'y+1/2,x+1/2,-z'
'-y+1/2,-x+1/2,z'
loop_
_atom_site_label
_atom_site_fract_x
_atom_site_fract_y
_atom_site_fract_z
Ho1 0.2500 0.2500 0.1277
Br1 0.2500 0.2500 0.6835
O1 0.2500 0.7500 0.0000
```

Output
E_tot   -123.87 eV for the cell shown
Formation enthalpy at 0 K   -3.27 eV/atom



Here is a relaxed structure of Rb2ZnH4 from the Materials Project database. Energies are from meta-GGA r2SCAN.

The structure in CIF format:
```
data_Rb2ZnH4
_cell_length_a 8.1341
_cell_length_b 6.0091
_cell_length_c 10.5742
_cell_angle_alpha 90.00
_cell_angle_beta 90.00
_cell_angle_gamma 90.00
_symmetry_space_group_name_H-M 'P n m a'
_symmetry_Int_Tables_number 62
loop_
_symmetry_equiv_pos_as_xyz
'x,y,z'
'-x,-y,-z'
'-x+1/2,-y,z+1/2'
'x+1/2,y,-z+1/2'
'x+1/2,-y+1/2,-z+1/2'
'-x+1/2,y+1/2,z+1/2'
'-x,y+1/2,-z'
'x,-y+1/2,z'
loop_
_atom_site_label
_atom_site_fract_x
_atom_site_fract_y
_atom_site_fract_z
Rb1 0.0156 0.2500 0.1859
Rb2 0.1597 0.7500 0.4058
Zn1 0.2404 0.7500 0.0827
H1 0.0387 0.7500 0.0918
H2 0.1860 0.0265 0.6528
H3 0.1941 0.2500 0.4348
```

Output
E_tot   -211.37 eV for the cell shown
Formation enthalpy at 0 K   -0.32 eV/atom



Here is a relaxed structure of Pm2ZnHg from the Materials Project database. Energies are from meta-GGA r2SCAN.

The structure in CIF format:
```
data_Pm2ZnHg
_cell_length_a 7.4510
_cell_length_b 7.4510
_cell_length_c 7.4510
_cell_angle_alpha 90.00
_cell_angle_beta 90.00
_cell_angle_gamma 90.00
_symmetry_space_group_name_H-M 'F m -3 m'
_symmetry_Int_Tables_number 225
_symmetry_space_group_name_Hall '-F 4 2 3'
loop_
_atom_site_label
_atom_site_fract_x
_atom_site_fract_y
_atom_site_fract_z
Pm1 0.2500 0.2500 0.2500
Zn1 0.0000 0.0000 0.0000
Hg1 0.0000 0.0000 0.5000
```

Output
E_tot   -476.48 eV for the cell shown
Formation enthalpy at 0 K   -0.44 eV/atom



Here is a relaxed structure of SmGe2Ir2 from the Materials Project database. Energies are from meta-GGA r2SCAN.

The structure in CIF format:
```
data_SmGe2Ir2
_cell_length_a 4.2444
_cell_length_b 4.2444
_cell_length_c 10.0316
_cell_angle_alpha 90.00
_cell_angle_beta 90.00
_cell_angle_gamma 90.00
_symmetry_space_group_name_H-M 'P 4/n m m'
_symmetry_Int_Tables_number 129
loop_
_symmetry_equiv_pos_as_xyz
'x,y,z'
'-x,-y,-z'
'-y+1/2,x,z'
'y+1/2,-x,-z'
'-x+1/2,-y+1/2,z'
'x+1/2,y+1/2,-z'
'y,-x+1/2,z'
'-y,x+1/2,-z'
'x+1/2,-y,-z'
'-x+1/2,y,z'
'-y,-x,-z'
'y,x,z'
'-x,y+1/2,-z'
'x,-y+1/2,z'
'y+1/2,x+1/2,-z'
'-y+1/2,-x+1/2,z'
loop_
_atom_site_label
_atom_site_fract_x
_atom_site_fract_y
_atom_site_fract_z
Sm1 0.2500 0.2500 0.2446
Ge1 0.2500 0.2500 0.6315
Ge2 0.2500 0.7500 0.0000
Ir1 0.2500 0.2500 0.8724
Ir2 0.2500 0.7500 0.5000
```

Output
E_tot   -333.19 eV for the cell shown
Formation enthalpy at 0 K   -0.88 eV/atom